# 1
The following is a DFT calculation (GGA-PBE) of an optimized crystal structure of Na6La4Zr4Si5S7O48.

energy of formation from the pure elements	-2.822	eV per atom

abc: 18.6435 9.2638 24.1691
angles: 90.00 89.60 119.81
Atoms (fractional coordinates):
Na  0.9976  0.6257  0.2558
Na  0.4982  0.6228  0.2513
Na  0.9977  0.3783  0.7499
Na  0.4999  0.3611  0.7526
Na  0.6631  0.3075  0.9213
Na  0.1645  0.0136  0.4333
Na  0.0041  0.9951  0.5104
Na  0.5047  0.9913  0.5030
Na  0.0065  0.0151  0.9940
Na  0.5046  0.0172  0.0034
Na  0.3306  0.3194  0.8410
Na  0.8303  0.3311  0.8177
Na  0.3452  0.3526  0.3258
Na  0.8256  0.3369  0.3462
Na  0.1887  0.6558  0.1644
Na  0.6719  0.6507  0.1591
Na  0.1737  0.6963  0.6628
Na  0.6843  0.6943  0.6736
La  0.9929  0.9884  0.3598
La  0.4988  0.0071  0.8553
La  0.3194  0.3321  0.6754
La  0.8229  0.3118  0.6855
La  0.3306  0.3461  0.1823
La  0.8176  0.3073  0.1750
La  0.8323  0.3199  0.9923
La  0.3338  0.3490  0.4952
La  0.1704  0.6639  0.3147
La  0.6706  0.6441  0.3153
La  0.1722  0.6981  0.8151
La  0.6681  0.6616  0.8114
Zr  0.4988  0.0169  0.3520
Zr  0.9987  0.9799  0.8511
Zr  0.9975  0.9816  0.6505
Zr  0.5116  0.0003  0.6433
Zr  0.0051  0.0198  0.1397
Zr  0.4966  0.0129  0.1492
Zr  0.3267  0.3188  0.9826
Zr  0.8277  0.3368  0.4837
Zr  0.1622  0.6644  0.0147
Zr  0.6652  0.6573  0.0198
Zr  0.1642  0.6722  0.5218
Zr  0.6614  0.6567  0.5160
Si  0.3604  0.7217  0.2512
Si  0.4983  0.2941  0.2498
Si  0.6425  0.2905  0.7496
Si  0.0009  0.7040  0.7496
Si  0.8610  0.0004  0.7514
Si  0.1716  0.0216  0.5788
Si  0.6855  0.0271  0.5801
Si  0.3343  0.6589  0.5837
Si  0.8309  0.0118  0.0835
Si  0.1858  0.3453  0.0815
Si  0.6720  0.3249  0.0795
Si  0.5164  0.3768  0.9188
Si  0.1625  0.9678  0.9203
Si  0.6639  0.3582  0.4196
Si  0.0179  0.6540  0.4169
S  0.1400  0.9954  0.2479
S  0.6385  0.0006  0.2518
S  0.8596  0.7121  0.2439
S  0.9989  0.2929  0.2459
S  0.1385  0.2767  0.7519
S  0.4972  0.7024  0.7460
S  0.3570  0.0050  0.7436
S  0.4927  0.3357  0.5853
S  0.9829  0.3300  0.5801
S  0.8316  0.6374  0.5790
S  0.4844  0.6388  0.0802
S  0.9932  0.6491  0.0871
S  0.3306  0.0260  0.0801
S  0.3112  0.6553  0.9226
S  0.8176  0.6737  0.9198
S  0.0212  0.3674  0.9163
S  0.6669  0.9622  0.9204
S  0.3170  0.9632  0.4189
S  0.8101  0.9672  0.4223
S  0.1681  0.3675  0.4201
S  0.5199  0.6736  0.4158
O  0.1024  0.0055  0.3011
O  0.5947  0.0091  0.3025
O  0.4148  0.8237  0.3065
O  0.9009  0.7906  0.2969
O  0.5001  0.1908  0.3055
O  0.9958  0.2043  0.2973
O  0.0951  0.1808  0.8027
O  0.6022  0.2047  0.8100
O  0.4906  0.7797  0.7974
O  0.0026  0.8113  0.8053
O  0.3964  0.0069  0.7971
O  0.9156  0.0033  0.8065
O  0.4060  0.0010  0.6960
O  0.9130  0.9997  0.6954
O  0.0936  0.1895  0.7007
O  0.5829  0.1676  0.6994
O  0.0052  0.8155  0.6948
O  0.4969  0.7991  0.6966
O  0.4115  0.8227  0.1949
O  0.9104  0.8155  0.1966
O  0.0007  0.1950  0.1969
O  0.5028  0.1923  0.1950
O  0.0888  0.9954  0.2008
O  0.5930  0.9970  0.2006
O  0.4560  0.3643  0.6355
O  0.9560  0.3677  0.6332
O  0.2341  0.1079  0.6301
O  0.7357  0.0839  0.6370
O  0.3120  0.5353  0.6368
O  0.8154  0.5424  0.6302
O  0.4573  0.5465  0.1338
O  0.9571  0.5481  0.1374
O  0.3144  0.0895  0.1314
O  0.8140  0.0900  0.1387
O  0.2342  0.3805  0.1396
O  0.7329  0.3645  0.1322
O  0.2375  0.3141  0.0325
O  0.7124  0.2999  0.0226
O  0.4266  0.5414  0.0356
O  0.9399  0.5772  0.0384
O  0.3440  0.1392  0.0327
O  0.8579  0.1386  0.0314
O  0.2107  0.1220  0.5206
O  0.7387  0.1626  0.5309
O  0.3582  0.5824  0.5303
O  0.8450  0.5505  0.5314
O  0.4408  0.3075  0.5362
O  0.9264  0.3138  0.5344
O  0.2594  0.6666  0.9682
O  0.7752  0.6932  0.9692
O  0.0741  0.4635  0.9651
O  0.5867  0.4975  0.9646
O  0.1535  0.8379  0.9708
O  0.6694  0.8679  0.9692
O  0.2746  0.8587  0.4679
O  0.7599  0.8521  0.4676
O  0.1673  0.4642  0.4679
O  0.6533  0.4684  0.4693
O  0.0893  0.6803  0.4622
O  0.5722  0.6822  0.4640
O  0.0483  0.6353  0.3542
O  0.5594  0.6615  0.3635
O  0.2674  0.8876  0.3685
O  0.7698  0.9044  0.3684
O  0.1721  0.4520  0.3673
O  0.6864  0.4657  0.3624
O  0.0609  0.4585  0.8646
O  0.5455  0.4590  0.8572
O  0.1843  0.9039  0.8636
O  0.6702  0.8836  0.8683
O  0.2694  0.6340  0.8692
O  0.7682  0.6492  0.8698
O  0.0174  0.8343  0.4195
O  0.5138  0.8276  0.4151
O  0.4000  0.9765  0.4132
O  0.8925  0.9799  0.4238
O  0.0916  0.2002  0.4213
O  0.5802  0.1758  0.4126
O  0.0151  0.2014  0.9162
O  0.5155  0.1973  0.9237
O  0.0788  0.9827  0.9147
O  0.5901  0.9746  0.9238
O  0.3925  0.8063  0.9245
O  0.9008  0.8269  0.9148
O  0.5050  0.1903  0.5916
O  0.9898  0.1773  0.5840
O  0.0817  0.0095  0.5896
O  0.5930  0.0122  0.5860
O  0.4138  0.8429  0.5958
O  0.9072  0.8052  0.5837
O  0.4908  0.8045  0.0852
O  0.0066  0.8206  0.0952
O  0.4061  0.0093  0.0852
O  0.9125  0.9878  0.0951
O  0.0923  0.1751  0.0886
O  0.5821  0.1566  0.0909
O  0.3529  0.1619  0.7429
O  0.8618  0.1771  0.7522
O  0.2225  0.2983  0.7521
O  0.7352  0.3189  0.7477
O  0.4264  0.5293  0.7437
O  0.9206  0.5221  0.7505
O  0.3578  0.5415  0.2520
O  0.8553  0.5478  0.2430
O  0.4163  0.3128  0.2506
O  0.9268  0.3183  0.2439
O  0.2246  0.1353  0.2449
O  0.7222  0.1466  0.2520
O  0.3210  0.5069  0.9314
O  0.8271  0.5251  0.9255
O  0.4246  0.3528  0.9346
O  0.9395  0.3541  0.9222
O  0.2449  0.1508  0.9322
O  0.7386  0.1361  0.9207
O  0.3260  0.1307  0.4239
O  0.8214  0.1359  0.4303
O  0.2401  0.3385  0.4202
O  0.7464  0.3399  0.4312
O  0.4374  0.5237  0.4205
O  0.9259  0.4964  0.4315
O  0.1684  0.4989  0.0672
O  0.6586  0.4875  0.0733
O  0.0761  0.6656  0.0769
O  0.5689  0.6645  0.0687
O  0.2586  0.8570  0.0688
O  0.7496  0.8326  0.0720
O  0.1580  0.8315  0.5732
O  0.6679  0.8401  0.5625
O  0.2506  0.6689  0.5701
O  0.7595  0.6612  0.5668
O  0.0679  0.4732  0.5678
O  0.5757  0.4866  0.5758
O  0.1394  0.8333  0.2457
O  0.6414  0.8433  0.2531
O  0.2680  0.7015  0.2504
O  0.7768  0.6961  0.2420
O  0.0751  0.4600  0.2430
O  0.5795  0.4828  0.2489
O  0.1412  0.4394  0.7531
O  0.6386  0.4636  0.7431
O  0.0836  0.6826  0.7482
O  0.5747  0.6938  0.7437
O  0.2733  0.8567  0.7416
O  0.7694  0.8379  0.7506

# 2
The following is a DFT calculation (GGA-PBE) of an optimized crystal structure of BaGe3Ir.

energy of formation from the pure elements	-0.525	eV per atom

abc: 6.1169 6.1169 6.1169
angles: 135.74 135.74 64.39
Atoms (fractional coordinates):
Ba  0.5899  0.5899  0.0000
Ge  0.0017  0.0017  0.0000
Ge  0.3411  0.8411  0.5000
Ge  0.8411  0.3411  0.5000
Ir  0.2411  0.2411  0.0000

> Which of these has the lowest energy of formation from the pure elements?

Na6La4Zr4Si5S7O48

> energy of formation from the pure elements of number 2 (BaGe3Ir)?

-0.525 eV per atom

> What is the energy of formation from the pure elements in the second record?

-0.525 eV per atom

> The lowest energy of formation from the pure elements belongs to which entry?

Na6La4Zr4Si5S7O48